1.
Compound: Sc2P3H3O9
Source: the Materials Project
Functional: GGA-PBE
Structure: optimized geometry

Lattice parameters (Å, degrees): 8.435 8.435 7.805 90.00 90.00 120.00
Atoms (fractional coordinates):
Sc 0.333 0.667 0.046
Sc 0.333 0.667 0.454
Sc 0.667 0.333 0.546
Sc 0.667 0.333 0.954
P 0.043 0.688 0.750
P 0.312 0.355 0.750
P 0.355 0.043 0.250
P 0.645 0.957 0.750
P 0.688 0.645 0.250
P 0.957 0.312 0.250
H 0.005 0.174 0.250
H 0.169 0.995 0.250
H 0.174 0.169 0.750
H 0.826 0.831 0.250
H 0.831 0.005 0.750
H 0.995 0.826 0.750
O 0.139 0.498 0.250
O 0.152 0.712 0.586
O 0.152 0.712 0.914
O 0.288 0.440 0.586
O 0.288 0.440 0.914
O 0.359 0.861 0.250
O 0.440 0.152 0.086
O 0.440 0.152 0.414
O 0.498 0.359 0.750
O 0.502 0.641 0.250
O 0.560 0.848 0.586
O 0.560 0.848 0.914
O 0.641 0.139 0.750
O 0.712 0.560 0.086
O 0.712 0.560 0.414
O 0.848 0.288 0.086
O 0.848 0.288 0.414
O 0.861 0.502 0.750

- SG = P6_3/m
- ΔE_f (kJ per mole of atoms) = -252.4
- VASP energy (eV per atom) = -7.17

***

2.
Compound: SmMgRh2
Source: the Materials Project
Functional: GGA-PBE
Structure: optimized geometry

Lattice parameters (Å, degrees): 4.712 4.712 4.712 60.00 60.00 60.00
Atoms (fractional coordinates):
Sm 0.000 0.000 0.000
Mg 0.500 0.500 0.500
Rh 0.250 0.250 0.250
Rh 0.750 0.750 0.750

- SG = Fm-3m
- ΔE_f (kJ per mole of atoms) = -59.5
- VASP energy (eV per atom) = -5.88